Compound: GaFe4
Source: the Materials Project
Functional: GGA-PBE
Structure: relaxed

Results
**Energy of formation from the pure elements**: -2 meV/atom
**Calculated volume**: 12.17 A^3/atom

Cell: 10.1598 10.0567 2.5426 Å, 85.09 80.47 14.44°
Element x y z (fractional)
Ga 0.0000 0.0000 0.0000
Fe 0.2001 0.2001 0.7999
Fe 0.3984 0.3984 0.6016
Fe 0.6016 0.6016 0.3984
Fe 0.7999 0.7999 0.2001